# 1
ZrV2Ga4 | r2SCAN | optimized geometry

a b c (Å): 5.163 5.231 5.231
angles (deg): 75.91 60.43 60.43
Atoms (fractional coordinates):
Zr1 0.000 0.000 0.000
V1 0.250 0.500 0.500
V2 0.750 0.500 0.500
Ga1 0.303 0.000 0.394
Ga2 0.697 0.000 0.606
Ga3 0.697 0.606 0.000
Ga4 0.303 0.394 0.000

Output
V: 106.9 Å³ per cell
E: -14.283 eV per atom

***

# 2
Ba2TmCl7 | r2SCAN | optimized geometry

a b c (Å): 15.560 6.835 10.554
angles (deg): 89.46 90.00 90.00
Atoms (fractional coordinates):
Ba1 0.280 0.235 0.549
Ba2 0.720 0.765 0.451
Ba3 0.780 0.765 0.951
Ba4 0.220 0.235 0.049
Ba5 0.439 0.765 0.824
Ba6 0.561 0.235 0.176
Ba7 0.939 0.235 0.676
Ba8 0.061 0.765 0.324
Tm1 0.127 0.716 0.782
Tm2 0.873 0.284 0.218
Tm3 0.627 0.284 0.718
Tm4 0.373 0.716 0.282
Cl1 0.071 0.375 0.876
Cl2 0.929 0.625 0.124
Cl3 0.571 0.625 0.624
Cl4 0.429 0.375 0.376
Cl5 0.105 0.985 0.587
Cl6 0.895 0.015 0.413
Cl7 0.605 0.015 0.913
Cl8 0.395 0.985 0.087
Cl9 0.961 0.794 0.788
Cl10 0.039 0.206 0.212
Cl11 0.461 0.206 0.712
Cl12 0.539 0.794 0.288
Cl13 0.361 0.791 0.526
Cl14 0.639 0.209 0.474
Cl15 0.861 0.209 0.974
Cl16 0.139 0.791 0.026
Cl17 0.257 0.987 0.801
Cl18 0.743 0.013 0.199
Cl19 0.757 0.013 0.699
Cl20 0.243 0.987 0.301
Cl21 0.271 0.502 0.795
Cl22 0.729 0.498 0.205
Cl23 0.771 0.498 0.705
Cl24 0.229 0.502 0.295
Cl25 0.105 0.501 0.573
Cl26 0.895 0.499 0.427
Cl27 0.605 0.499 0.927
Cl28 0.395 0.501 0.073

Output
V: 1122.5 Å³ per cell
E: -15.828 eV per atom

***

# 3
Na3ScBr6 | r2SCAN | optimized geometry

a b c (Å): 7.239 7.238 13.141
angles (deg): 89.99 90.00 120.01
Atoms (fractional coordinates):
Na1 0.667 0.333 0.467
Na2 0.667 0.333 0.033
Na3 0.333 0.667 0.533
Na4 0.333 0.667 0.967
Na5 0.000 0.000 0.750
Na6 0.000 0.000 0.250
Sc1 0.667 0.333 0.750
Sc2 0.333 0.667 0.250
Br1 0.364 0.321 0.870
Br2 0.957 0.321 0.630
Br3 0.364 0.042 0.630
Br4 0.679 0.636 0.630
Br5 0.957 0.636 0.870
Br6 0.679 0.043 0.870
Br7 0.321 0.364 0.370
Br8 0.636 0.957 0.370
Br9 0.043 0.679 0.370
Br10 0.636 0.679 0.130
Br11 0.043 0.364 0.130
Br12 0.321 0.957 0.130

Output
V: 596.2 Å³ per cell
E: -12.034 eV per atom

***

# 4
DyInPd2 | r2SCAN | optimized geometry

a b c (Å): 4.770 4.770 4.770
angles (deg): 60.00 60.00 60.00
Atoms (fractional coordinates):
Dy1 0.500 0.500 0.500
In1 0.000 0.000 0.000
Pd1 0.750 0.750 0.750
Pd2 0.250 0.250 0.250

Output
V: 76.8 Å³ per cell
E: -26.003 eV per atom